i.
Computed, not measured: crystalline Li2Co3SnO8 at its relaxed geometry at the GGA+U level of DFT.

Output
M_tot: 8.0 μB per cell

a b c (Å): 12.0225 12.0293 8.4929
angles (deg): 90.00 90.13 90.00
Closest atoms and distances in Å follow each position.
Space group C2 (No. 5)
Asymmetric unit:
Li (0.1222, 0.0000, 0.3766) [4 per cell]  4 O 2.01-2.05
Li (0.1235, 0.4990, 0.3732) [4 per cell]  4 O 2.00-2.04
Li (0.1233, 0.7492, 0.1243) [4 per cell]  4 O 1.99-2.05
Li (0.1255, 0.2512, 0.1267) [4 per cell]  4 O 2.01-2.04
Co (0.0000, 0.0083, 0.0000) [2 per cell]  6 O 1.98-2.01
Co (0.0000, 0.7435, 0.5000) [2 per cell]  6 O 1.88-1.93
Co (0.1282, 0.6199, 0.7400) [4 per cell]  6 O 1.99-2.05
Co (0.1299, 0.1289, 0.7585) [4 per cell]  6 O 1.98-2.03
Co (0.1346, 0.3748, 0.7492) [4 per cell]  6 O 1.96-2.03
Co (0.2440, 0.7446, 0.4889) [4 per cell]  6 O 1.95-2.06
Co (0.2450, 0.0050, 0.0110) [4 per cell]  6 O 1.96-2.06
Sn (0.0000, 0.2497, 0.5000) [2 per cell]  6 O 2.10-2.11
Sn (0.0000, 0.5002, 0.0000) [2 per cell]  6 O 2.10-2.11
Sn (0.1244, 0.8744, 0.7501) [4 per cell]  6 O 2.09-2.12
O (0.0101, 0.7425, 0.7270) [4 per cell]  2 Co 1.93-2.05, 1 Li 2.05, 1 Sn 2.11
O (0.0128, 0.0089, 0.7637) [4 per cell]  2 Co 2.01-2.02, 1 Li 2.02, 1 Sn 2.11
O (0.0182, 0.2550, 0.7461) [4 per cell]  2 Co 2.01-2.03, 1 Li 2.04, 1 Sn 2.10
O (0.0176, 0.4954, 0.7531) [4 per cell]  1 Li 2.00, 2 Co 2.01-2.02, 1 Sn 2.11
O (0.1126, 0.8546, 0.5027) [4 per cell]  2 Co 1.90-2.06, 1 Li 2.05, 1 Sn 2.12
O (0.1159, 0.6386, 0.5068) [4 per cell]  3 Co 1.88-2.01, 1 Li 2.03
O (0.1183, 0.8909, 0.9950) [4 per cell]  2 Co 2.01-2.06, 1 Li 2.03, 1 Sn 2.09
O (0.1250, 0.1148, 0.9905) [4 per cell]  3 Co 1.96-1.98, 1 Li 2.01
O (0.1273, 0.6181, 0.9762) [4 per cell]  2 Co 2.01-2.05, 1 Li 2.02, 1 Sn 2.10
O (0.1289, 0.1321, 0.5220) [4 per cell]  2 Co 2.01-2.04, 1 Li 2.01, 1 Sn 2.11
O (0.1341, 0.3621, 0.5121) [4 per cell]  2 Co 2.02-2.04, 1 Li 2.03, 1 Sn 2.11
O (0.1344, 0.3883, 0.9872) [4 per cell]  2 Co 2.02-2.03, 1 Li 2.03, 1 Sn 2.11
O (0.2410, 0.0039, 0.7706) [4 per cell]  2 Co 2.01-2.04, 1 Li 2.04, 1 Sn 2.10
O (0.2412, 0.2492, 0.7398) [4 per cell]  3 Co 1.95-1.98, 1 Li 1.99
O (0.2405, 0.4988, 0.7572) [4 per cell]  3 Co 1.96-1.99, 1 Li 2.01
O (0.2406, 0.7449, 0.7252) [4 per cell]  2 Co 2.01-2.03, 1 Li 2.04, 1 Sn 2.10



ii.
Computed, not measured: crystalline Li2Co3SnO8 at its relaxed geometry at the GGA+U level of DFT.

Output
M_tot: 2.0 μB per cell

a b c (Å): 5.7933 5.7933 9.5196
angles (deg): 90.00 90.00 120.00
Closest atoms and distances in Å follow each position.
Space group P6_3mc (No. 186)
Asymmetric unit:
Li (0.0000, 0.0000, 0.0000) [2 per cell]  4 O 1.80-1.89
Li (0.3333, 0.6667, 0.3929) [2 per cell]  4 O 1.92-2.13
Co (0.1698, 0.3396, 0.7182) [6 per cell]  6 O 1.90-1.95
Sn (0.3333, 0.6667, 0.9965) [2 per cell]  6 O 2.06-2.17
O (0.0000, 0.0000, 0.3104) [2 per cell]  1 Li 1.80, 3 Co 1.92
O (0.0321, 0.5161, 0.8333) [6 per cell]  1 Li 1.92, 2 Co 1.92
O (0.1576, 0.3152, 0.1092) [6 per cell]  1 Li 1.89, 2 Co 1.95, 1 Sn 2.06
O (0.3333, 0.6667, 0.6165) [2 per cell]  3 Co 1.90, 1 Li 2.13



iii.
Computed, not measured: crystalline Li2Co3SnO8 at its relaxed geometry at the GGA+U level of DFT.

Output
M_tot: 33.0 μB per cell

a b c (Å): 5.8393 5.8393 14.1498
angles (deg): 90.00 90.00 120.00
Closest atoms and distances in Å follow each position.
Space group R3m (No. 160, hexagonal axes)
Asymmetric unit:
Li (0.0000, 0.0000, 0.0000) [3 per cell]  6 O 2.02-2.05
Li (0.0000, 0.0000, 0.3749) [3 per cell]  4 O 1.95-2.05
Co (0.1724, 0.3448, 0.8256) [9 per cell]  6 O 1.84-2.02
Sn (0.0000, 0.0000, 0.6078) [3 per cell]  4 O 1.97-2.06
O (0.0000, 0.0000, 0.2300) [3 per cell]  3 Co 1.91, 1 Li 2.05
O (0.0000, 0.0000, 0.7536) [3 per cell]  3 Co 2.02, 1 Sn 2.06
O (0.0244, 0.5122, 0.7604) [9 per cell]  2 Co 1.84, 2 Li 1.95-2.05
O (0.1869, 0.3738, 0.5698) [9 per cell]  2 Co 1.96, 1 Sn 1.97, 1 Li 2.02



Which structure is the most stable? The one labeled ii.



i.
Computed, not measured: crystalline Li2Co3SnO8 at its relaxed geometry at the GGA+U level of DFT.

Output
M_tot: 4.0 μB per cell

a b c (Å): 8.2787 8.2787 8.2787
angles (deg): 90.00 90.00 90.00
Closest atoms and distances in Å follow each position.
Space group P4_332 (No. 212)
Asymmetric unit:
Li (0.0003, 0.0003, 0.0003) [8 per cell]  4 O 1.92-1.99
Co (0.1148, 0.1352, 0.6250) [12 per cell]  6 O 1.92-1.96
Sn (0.1250, 0.8750, 0.3750) [4 per cell]  6 O 2.11
O (0.0972, 0.1278, 0.3892) [24 per cell]  2 Co 1.92-1.96, 1 Li 1.99, 1 Sn 2.11
O (0.1161, 0.6161, 0.8839) [8 per cell]  3 Co 1.92, 1 Li 1.92



ii.
Computed, not measured: crystalline Li2Co3SnO8 at its relaxed geometry at the GGA+U level of DFT.

Output
M_tot: 33.0 μB per cell

a b c (Å): 5.7661 5.7661 14.8240
angles (deg): 90.00 90.00 120.00
Closest atoms and distances in Å follow each position.
Space group R-3m (No. 166, hexagonal axes)
Asymmetric unit:
Li (0.0000, 0.0000, 0.1152) [6 per cell]  3 O 1.91
Co (0.0000, 0.5000, 0.0000) [9 per cell]  6 O 1.91-1.92
Sn (0.0000, 0.0000, 0.5000) [3 per cell]  6 O 2.08
O (0.0000, 0.0000, 0.2696) [6 per cell]  3 Co 1.91
O (0.0266, 0.5133, 0.2614) [18 per cell]  1 Li 1.91, 2 Co 1.92, 1 Sn 2.08



Which structure is the most stable? The one labeled i.



i.
Computed, not measured: crystalline Li4Ti2Co3Sn3O16 at its relaxed geometry at the GGA+U level of DFT.

Output
M_tot: 6.0 μB per cell

a b c (Å): 10.5626 6.1142 9.6684
angles (deg): 90.00 90.19 90.00
Closest atoms and distances in Å follow each position.
Space group Cm (No. 8)
Asymmetric unit:
Li (0.0000, 0.0000, 0.0000) [2 per cell]  3 O 1.81-1.99
Li (0.0072, 0.0000, 0.4906) [2 per cell]  2 O 1.82-1.97
Li (0.1914, 0.5000, 0.0961) [2 per cell]  4 O 1.99-2.12
Li (0.3503, 0.0000, 0.5872) [2 per cell]  4 O 1.98-2.05
Ti (0.1948, 0.5000, 0.4902) [2 per cell]  5 O 1.85-2.04
Ti (0.3592, 0.0000, 0.9961) [2 per cell]  6 O 1.91-2.11
Co (0.3463, 0.5000, 0.7716) [2 per cell]  6 O 2.01-2.24
Co (0.4349, 0.2383, 0.2697) [4 per cell]  6 O 1.97-2.20
Sn (0.1036, 0.2561, 0.7733) [4 per cell]  6 O 2.04-2.16
Sn (0.1888, 0.0000, 0.2768) [2 per cell]  6 O 2.06-2.14
O (0.0119, 0.0000, 0.1868) [2 per cell]  1 Li 1.81, 2 Co 1.97
O (0.0157, 0.0000, 0.6781) [2 per cell]  1 Li 1.82, 1 Co 2.01
O (0.0307, 0.5000, 0.6461) [2 per cell]  1 Li 1.99, 2 Sn 2.08
O (0.1005, 0.2541, 0.3940) [4 per cell]  1 Ti 2.03, 1 Li 2.06, 1 Co 2.12, 1 Sn 2.14
O (0.1835, 0.0000, 0.8971) [2 per cell]  1 Ti 2.09, 2 Sn 2.14, 1 Li 2.18
O (0.1856, 0.5000, 0.8907) [2 per cell]  1 Li 1.99, 1 Co 2.05, 2 Sn 2.06
O (0.2537, 0.2801, 0.6351) [4 per cell]  1 Ti 2.04, 1 Li 2.05, 1 Sn 2.08, 1 Co 2.12
O (0.2818, 0.2178, 0.1421) [4 per cell]  1 Li 2.02, 1 Co 2.03, 1 Ti 2.11, 1 Sn 2.11
O (0.3446, 0.5000, 0.3909) [2 per cell]  1 Ti 1.85, 1 Li 1.97
O (0.3586, 0.0000, 0.3824) [2 per cell]  1 Li 1.98, 2 Co 1.99, 1 Sn 2.06
O (0.4359, 0.2379, 0.9001) [4 per cell]  1 Ti 1.91, 1 Li 1.99
O (0.4962, 0.0000, 0.1472) [2 per cell]  2 Co 1.99, 1 Ti 2.05, 1 Li 2.12



ii.
Computed, not measured: crystalline Li4Ti2Co3Sn3O16 at its relaxed geometry at the GGA+U level of DFT.

Output
M_tot: 4.0 μB per cell

a b c (Å): 6.0258 10.6438 11.3049
angles (deg): 116.76 104.60 90.35
Closest atoms and distances in Å follow each position.
Space group P1 (No. 1)
Asymmetric unit:
Li (0.0000, 0.0000, 0.0000) [1 per cell]  4 O 2.00-2.07
Li (0.0038, 0.7043, 0.0979) [1 per cell]  3 O 1.81-1.99
Li (0.2403, 0.5828, 0.5112) [1 per cell]  4 O 1.96-2.07
Li (0.2716, 0.9574, 0.6072) [1 per cell]  2 O 1.82-1.95
Li (0.5010, 0.5011, 0.0009) [1 per cell]  4 O 2.01-2.06
Li (0.5072, 0.2059, 0.0982) [1 per cell]  3 O 1.81-2.01
Li (0.7395, 0.0820, 0.5110) [1 per cell]  4 O 1.95-2.06
Li (0.7722, 0.4594, 0.6077) [1 per cell]  2 O 1.81-1.95
Ti (0.0626, 0.3908, 0.0970) [1 per cell]  3 O 1.89-1.91
Ti (0.2999, 0.3010, 0.6034) [1 per cell]  3 O 1.82-2.03
Ti (0.5528, 0.8907, 0.0986) [1 per cell]  4 O 1.89-2.07
Ti (0.8043, 0.8020, 0.6030) [1 per cell]  3 O 1.82-2.01
Co (0.1461, 0.1633, 0.8233) [1 per cell]  4 O 1.91-1.95
Co (0.3924, 0.2379, 0.3261) [1 per cell]  6 O 2.00-2.23
Co (0.4093, 0.9025, 0.8273) [1 per cell]  6 O 1.94-2.14
Co (0.6433, 0.6614, 0.8217) [1 per cell]  4 O 1.91-1.95
Co (0.8909, 0.7374, 0.3221) [1 per cell]  5 O 1.95-2.17
Co (0.8986, 0.4027, 0.8255) [1 per cell]  6 O 1.98-2.13
Sn (0.1447, 0.9925, 0.3231) [1 per cell]  6 O 2.05-2.15
Sn (0.1521, 0.6570, 0.8231) [1 per cell]  6 O 2.06-2.16
Sn (0.4031, 0.7391, 0.3240) [1 per cell]  6 O 2.05-2.15
Sn (0.6516, 0.4943, 0.3242) [1 per cell]  6 O 2.05-2.15
Sn (0.6530, 0.1552, 0.8214) [1 per cell]  6 O 2.06-2.15
Sn (0.9036, 0.2391, 0.3223) [1 per cell]  6 O 2.04-2.16
O (0.0823, 0.9130, 0.7038) [1 per cell]  1 Ti 1.82, 1 Li 1.95
O (0.0831, 0.4280, 0.7072) [1 per cell]  1 Co 2.04, 1 Li 2.04, 1 Ti 2.07, 1 Sn 2.16
O (0.0890, 0.5927, 0.1998) [1 per cell]  1 Ti 1.91, 1 Li 1.99
O (0.0934, 0.0999, 0.2066) [1 per cell]  1 Li 2.00, 1 Co 2.05, 2 Sn 2.06-2.07
O (0.1820, 0.8669, 0.4195) [1 per cell]  1 Li 1.82, 1 Co 1.95
O (0.1866, 0.3900, 0.9593) [1 per cell]  1 Ti 1.89, 1 Co 2.04, 1 Li 2.06
O (0.2108, 0.3704, 0.4637) [1 per cell]  1 Ti 1.99, 1 Li 2.07, 1 Sn 2.10, 1 Co 2.12
O (0.2463, 0.8764, 0.9564) [1 per cell]  1 Li 2.00, 1 Co 2.06, 1 Ti 2.07, 1 Sn 2.10
O (0.3248, 0.1763, 0.7067) [1 per cell]  1 Co 1.95, 1 Li 2.06, 1 Ti 2.11, 1 Sn 2.15
O (0.3324, 0.3528, 0.1997) [1 per cell]  1 Ti 1.91, 1 Li 1.97
O (0.3317, 0.8432, 0.1992) [1 per cell]  2 Sn 2.12-2.14, 1 Ti 2.14, 1 Li 2.17
O (0.3611, 0.6880, 0.7167) [1 per cell]  2 Co 1.92-2.02, 1 Li 1.99, 1 Sn 2.06
O (0.4231, 0.1155, 0.9115) [1 per cell]  1 Li 1.81, 2 Co 1.91-2.02
O (0.4281, 0.1458, 0.4633) [1 per cell]  1 Li 2.03, 1 Ti 2.03, 1 Sn 2.09, 1 Co 2.15
O (0.4791, 0.6428, 0.4508) [1 per cell]  1 Li 1.96, 2 Sn 2.08-2.09
O (0.4788, 0.6569, 0.9456) [1 per cell]  1 Co 1.93, 1 Li 2.01, 1 Sn 2.10
O (0.5771, 0.4133, 0.7010) [1 per cell]  1 Ti 1.82, 1 Li 1.95
O (0.5870, 0.9285, 0.7045) [1 per cell]  1 Li 2.04, 1 Ti 2.06, 1 Co 2.06, 1 Sn 2.14
O (0.5891, 0.0914, 0.1999) [1 per cell]  1 Ti 1.89, 1 Li 2.01
O (0.6008, 0.6039, 0.2093) [1 per cell]  1 Co 1.98, 1 Li 2.02, 2 Sn 2.07-2.08
O (0.6791, 0.8915, 0.9568) [1 per cell]  1 Co 1.94, 1 Ti 1.94, 1 Li 2.07
O (0.6918, 0.3700, 0.4211) [1 per cell]  1 Li 1.81, 1 Co 2.00
O (0.7109, 0.8704, 0.4624) [1 per cell]  1 Ti 1.99, 1 Li 2.06, 1 Sn 2.09, 1 Co 2.14
O (0.7485, 0.3778, 0.9516) [1 per cell]  1 Co 1.98, 1 Li 2.01, 1 Ti 2.13, 1 Sn 2.13
O (0.8247, 0.6767, 0.7070) [1 per cell]  1 Co 1.95, 1 Li 2.05, 1 Ti 2.13, 1 Sn 2.15
O (0.8281, 0.8504, 0.1973) [1 per cell]  1 Ti 1.92, 1 Li 1.96, 1 Sn 2.15
O (0.8312, 0.3427, 0.1977) [1 per cell]  2 Sn 2.12-2.13, 1 Li 2.14, 1 Ti 2.19
O (0.8648, 0.1884, 0.7170) [1 per cell]  2 Co 1.91-2.02, 1 Li 2.00, 1 Sn 2.07
O (0.9196, 0.6154, 0.9112) [1 per cell]  1 Li 1.81, 2 Co 1.91-2.01
O (0.9319, 0.6483, 0.4635) [1 per cell]  1 Ti 2.01, 1 Li 2.02, 1 Sn 2.08, 1 Co 2.17
O (0.9762, 0.1431, 0.4502) [1 per cell]  1 Li 1.95, 2 Sn 2.08
O (0.9786, 0.1582, 0.9464) [1 per cell]  1 Co 1.93, 1 Li 2.03, 1 Sn 2.10



Which structure is the most stable? The one labeled i.



i.
Computed, not measured: crystalline Sr2LiCoWO6 at its relaxed geometry at the GGA+U level of DFT.

Output
M_tot: 1.9 μB per cell

a b c (Å): 5.3132 5.5180 6.0843
angles (deg): 116.13 110.08 90.79
Closest atoms and distances in Å follow each position.
Space group P-1 (No. 2)
Asymmetric unit:
Sr (0.1908, 0.2190, 0.4340) [2 per cell]  5 O 2.50-2.70
Li (0.5000, 0.5000, 0.0000) [1 per cell]  4 O 1.97-2.00
Co (0.5000, 0.0000, 0.0000) [1 per cell]  4 O 2.00-2.01
W (0.0000, 0.5000, 0.0000) [1 per cell]  6 O 1.93-2.08
O (0.2050, 0.1822, 0.8661) [2 per cell]  1 Li 2.00, 1 Co 2.00, 1 W 2.08
O (0.2100, 0.6695, 0.8516) [2 per cell]  1 Li 1.97, 1 Co 2.01, 1 W 2.08
O (0.2986, 0.6745, 0.3430) [2 per cell]  1 W 1.93



ii.
Computed, not measured: crystalline Sr2LiCoWO6 at its relaxed geometry at the GGA+U level of DFT.

Output
M_tot: 2.0 μB per cell

a b c (Å): 5.3193 5.5195 6.1085
angles (deg): 116.40 110.31 90.54
Closest atoms and distances in Å follow each position.
Space group P-1 (No. 2)
Asymmetric unit:
Sr (0.1905, 0.2184, 0.4330) [2 per cell]  5 O 2.50-2.71
Li (0.5000, 0.5000, 0.0000) [1 per cell]  4 O 1.98-1.99
Co (0.5000, 0.0000, 0.0000) [1 per cell]  4 O 2.00-2.01
W (0.0000, 0.5000, 0.0000) [1 per cell]  6 O 1.93-2.08
O (0.2066, 0.1825, 0.8652) [2 per cell]  1 Li 1.99, 1 Co 2.00, 1 W 2.08
O (0.2087, 0.6703, 0.8531) [2 per cell]  1 Li 1.98, 1 Co 2.01, 1 W 2.08
O (0.2994, 0.6744, 0.3429) [2 per cell]  1 W 1.93



Which structure is the most stable? The one labeled ii.



i.
Computed, not measured: crystalline Li3Co3TeO8 at its relaxed geometry at the GGA+U level of DFT.

Output
M_tot: 12.0 μB per cell

a b c (Å): 6.0505 6.0505 14.8972
angles (deg): 90.00 90.00 120.00
Closest atoms and distances in Å follow each position.
Space group R-3m (No. 166, hexagonal axes)
Asymmetric unit:
Li (0.0000, 0.5000, 0.0000) [9 per cell]  6 O 2.15-2.26
Co (0.0000, 0.5000, 0.5000) [9 per cell]  6 O 2.03-2.15
Te (0.0000, 0.0000, 0.5000) [3 per cell]  6 O 1.96
O (0.0000, 0.0000, 0.2366) [6 per cell]  3 Co 2.03, 3 Li 2.26
O (0.0282, 0.5141, 0.2427) [18 per cell]  1 Te 1.96, 2 Co 2.15, 2 Li 2.15



ii.
Computed, not measured: crystalline Li3Co3TeO8 at its relaxed geometry at the GGA+U level of DFT.

Output
M_tot: 20.0 μB per cell

a b c (Å): 10.4513 6.0986 6.0456
angles (deg): 90.00 124.88 90.00
Closest atoms and distances in Å follow each position.
Space group C2/m (No. 12)
Asymmetric unit:
Li (0.0000, 0.0000, 0.0000) [2 per cell]  6 O 2.16-2.37
Li (0.2500, 0.2500, 0.5000) [4 per cell]  6 O 2.14-2.22
Co (0.0000, 0.5000, 0.5000) [2 per cell]  2 O 1.92
Co (0.2500, 0.2500, 0.0000) [4 per cell]  6 O 2.10-2.17
Te (0.0000, 0.0000, 0.5000) [2 per cell]  6 O 1.95-1.96
O (0.0017, 0.2286, 0.2741) [8 per cell]  1 Te 1.96, 2 Li 2.14-2.16, 2 Co 2.15-2.17
O (0.2236, 0.5000, 0.7389) [4 per cell]  3 Co 1.92-2.10
O (0.2269, 0.0000, 0.7312) [4 per cell]  1 Te 1.95, 2 Co 2.14, 2 Li 2.17



Which structure is the most stable? The one labeled ii.